LiDyIn2 (PBE-GGA, relaxed); electronic total energy = -13.5 eV per cell; formation energy = -8.664 kcal/mol of atoms
1.0
0.000 3.634 3.634
3.634 0.000 3.634
3.634 3.634 0.000
Li Dy In
1 1 2
direct
0.000 0.000 0.000
0.500 0.500 0.500
0.250 0.250 0.250
0.750 0.750 0.750

---

Mg2CuN2 (PBE-GGA, relaxed); electronic total energy = -50.9 eV per cell; formation energy = -10.092 kcal/mol of atoms; total moment = 0.001 μB/cell
1.0
-2.132 -3.876 -3.551
0.216 -5.622 -0.725
-5.357 -3.865 2.065
Mg Cu N
4 2 4
direct
0.329 0.329 0.034
0.671 0.671 0.966
0.962 0.962 0.234
0.038 0.038 0.766
0.644 0.644 0.391
0.356 0.356 0.609
0.825 0.825 0.098
0.175 0.175 0.902
0.521 0.521 0.701
0.479 0.479 0.299

---

BaTlSn2O6 (PBE-GGA, relaxed); electronic total energy = -108.9 eV per cell; formation energy = -38.210 kcal/mol of atoms; total moment = 1.997 μB/cell
1.0
-1.947 1.947 23.680
1.947 -1.947 23.680
1.947 1.947 -23.680
Ba Tl Sn O
2 2 4 12
direct
0.663 0.663 0.000
0.337 0.337 0.000
0.225 0.225 0.000
0.775 0.775 0.000
0.046 0.046 0.000
0.893 0.893 0.000
0.107 0.107 0.000
0.954 0.954 0.000
0.377 0.877 0.500
0.534 0.034 0.500
0.731 0.731 0.000
0.966 0.466 0.500
0.269 0.269 0.000
0.123 0.623 0.500
0.623 0.123 0.500
0.817 0.817 0.000
0.877 0.377 0.500
0.034 0.534 0.500
0.466 0.966 0.500
0.183 0.183 0.000

---

RbIO3 (PBE-GGA, relaxed); electronic total energy = -19.2 eV per cell; formation energy = -8.738 kcal/mol of atoms; total moment = 0.000 μB/cell
1.0
-7.148 2.039 -1.228
2.474 0.555 6.477
4.762 2.681 -0.157
Rb I O
1 1 3
direct
0.831 0.416 0.000
0.974 0.997 0.000
0.344 0.495 0.000
0.095 0.450 0.723
0.372 0.450 0.277

---

LuB4Rh (PBE-GGA, relaxed); electronic total energy = -169.4 eV per cell; formation energy = -14.419 kcal/mol of atoms
1.0
0.000 0.000 3.529
5.919 0.000 0.000
0.000 11.471 0.000
Lu B Rh
4 16 4
direct
0.500 0.370 0.149
0.500 0.630 0.851
0.500 0.130 0.649
0.500 0.870 0.351
0.000 0.114 0.048
0.000 0.886 0.952
0.000 0.386 0.548
0.000 0.614 0.452
0.000 0.135 0.469
0.000 0.865 0.531
0.000 0.365 0.969
0.000 0.635 0.031
0.000 0.024 0.194
0.000 0.976 0.806
0.000 0.476 0.694
0.000 0.524 0.306
0.000 0.210 0.312
0.000 0.790 0.688
0.000 0.290 0.812
0.000 0.710 0.188
0.500 0.358 0.405
0.500 0.642 0.595
0.500 0.142 0.905
0.500 0.858 0.095

---

LuGe2Ru (PBE-GGA, relaxed); electronic total energy = -308.3 eV per cell; formation energy = -15.274 kcal/mol of atoms; total moment = 0.004 μB/cell
1.0
0.987 0.745 8.216
-7.000 6.555 0.247
-7.103 -7.643 1.547
Lu Ge Ru
12 24 12
direct
0.244 0.823 0.450
0.244 0.177 0.550
0.756 0.323 0.050
0.756 0.677 0.950
0.756 0.177 0.550
0.756 0.823 0.450
0.244 0.677 0.950
0.244 0.323 0.050
0.000 0.836 0.177
0.000 0.164 0.823
0.000 0.336 0.323
0.000 0.664 0.677
0.347 0.842 0.179
0.347 0.158 0.821
0.653 0.342 0.321
0.653 0.658 0.679
0.653 0.158 0.821
0.653 0.842 0.179
0.347 0.658 0.679
0.347 0.342 0.321
0.500 0.543 0.118
0.500 0.457 0.882
0.500 0.043 0.382
0.500 0.957 0.618
0.000 0.536 0.119
0.000 0.464 0.881
0.000 0.036 0.381
0.000 0.964 0.619
0.500 0.624 0.404
0.500 0.376 0.596
0.500 0.124 0.096
0.500 0.876 0.904
0.000 0.629 0.399
0.000 0.371 0.601
0.000 0.129 0.101
0.000 0.871 0.899
0.251 0.589 0.237
0.251 0.411 0.763
0.749 0.089 0.263
0.749 0.911 0.737
0.749 0.411 0.763
0.749 0.589 0.237
0.251 0.911 0.737
0.251 0.089 0.263
0.248 0.500 0.500
0.752 0.000 0.000
0.752 0.500 0.500
0.248 0.000 0.000